Entry 1:
# KB6F6

An optimized crystal structure of KB6F6 (PBE, the Materials Project).

Cell: 8.3420 14.5129 11.5340 Å, 90.00 92.92 90.00°
Closest atoms and distances in Å follow each position.
Space group C2/c (No. 15)
Symmetry-distinct sites (fractional):
K 0.0000 0.0000 0.0000 x4  4 F 2.69-2.89
K 0.0000 0.3334 0.2500 x4  8 F 2.70-2.93
B 0.0319 0.3299 0.8994 x8  1 F 1.39
B 0.0698 0.2301 0.8123 x8  1 F 1.40
B 0.0702 0.4292 0.8114 x8  1 F 1.40
B 0.1318 0.2678 0.6728 x8  1 F 1.39
B 0.1326 0.3913 0.6719 x8  1 F 1.40
B 0.1949 0.3299 0.8022 x8  1 F 1.40
F 0.0601 0.3313 0.0188 x8  1 B 1.39
F 0.1216 0.1455 0.8583 x8  1 B 1.40
F 0.1337 0.4890 0.3589 x8  1 B 1.40
F 0.1438 0.1661 0.1576 x8  1 B 1.40
F 0.2386 0.2129 0.6144 x8  1 B 1.39
F 0.2446 0.4424 0.6131 x8  1 B 1.40

## Properties
formation energy = -2.088 eV per atom

Entry 2:
# ZnSn2O5

An optimized crystal structure of ZnSn2O5 (PBE, the Materials Project).

Cell: 3.9936 10.4944 10.4413 Å, 90.00 90.00 90.00°
Closest atoms and distances in Å follow each position.
Space group Cmcm (No. 63)
Symmetry-distinct sites (fractional):
Zn 0.0000 0.1820 0.2500 x4  2 O 1.98
Sn 0.0000 0.1364 0.5668 x8  6 O 2.03-2.22
O 0.0000 0.0514 0.1129 x8  1 Zn 1.98, 2 Sn 2.03-2.08
O 0.0000 0.2238 0.7500 x4  2 Sn 2.12, 2 Zn 2.23
O 0.0000 0.3063 0.0605 x8  3 Sn 2.09-2.22

## Properties
formation energy = -1.965 eV per atom
excess energy over the best structure of this formula in the dataset = 0.000 eV/atom

The records above yield size of the total moment values of 0.0, 0.0 μB/f.u., respectively.